Computed, not measured: crystalline Ba2Mo3O7 at its relaxed geometry at the PBE with a Hubbard U level of DFT.

Calculated values
total magnetization: 8.0 Bohr magnetons per cell
crystal system: monoclinic
ΔH_f (0 K): -2.0410 eV per atom
E (MP2020): -7.959 eV/atom
V: 197.80 Å³ per cell

Lattice parameters (Å, degrees): 4.065 4.101 11.868 90.00 90.08 90.00
Space group Pm (No. 6)
Asymmetric unit:
1 Ba 0.000 0.000 0.000 x1
2 Ba 0.003 0.000 0.404 x1
3 Mo 0.500 0.500 0.832 x1
4 Mo 0.501 0.500 0.202 x1
5 Mo 0.503 0.500 0.572 x1
6 O 0.000 0.500 0.846 x1
7 O 0.003 0.500 0.559 x1
8 O 0.500 0.000 0.844 x1
9 O 0.500 0.500 0.029 x1
10 O 0.502 0.000 0.202 x1
11 O 0.503 0.000 0.559 x1
12 O 0.503 0.500 0.375 x1

---

Computed, not measured: crystalline BaMoO2 at its relaxed geometry at the PBE with a Hubbard U level of DFT.

Calculated values
total magnetization: 32.0 Bohr magnetons per cell
crystal system: tetragonal
ΔH_f (0 K): -1.8476 eV per atom
E (MP2020): -7.513 eV/atom
V: 601.11 Å³ per cell

Lattice parameters (Å, degrees): 6.859 6.859 12.776 90.00 90.00 90.00
Space group I4_1/amd (No. 141, origin choice 2)
Asymmetric unit:
1 Ba 0.000 0.000 0.000 x8
2 Mo 0.000 0.000 0.500 x8
3 O 0.000 0.047 0.216 x16